[1]
A plane-wave DFT calculation with GGA-PBE was carried out for crystalline Mg6NbCuO8 at its relaxed geometry.

Unit cell a=4.281 b=4.281 c=8.964 alpha=90.00 beta=90.00 gamma=90.00
Space group P4/mmm (No. 123)
Symmetry-distinct sites (fractional):
Mg 0.000 0.000 0.000 [1 per cell]
Mg 0.000 0.000 0.500 [1 per cell]
Mg 0.000 0.500 0.233 [4 per cell]
Nb 0.500 0.500 0.500 [1 per cell]
Cu 0.500 0.500 0.000 [1 per cell]
O 0.000 0.000 0.251 [2 per cell]
O 0.000 0.500 0.000 [2 per cell]
O 0.000 0.500 0.500 [2 per cell]
O 0.500 0.500 0.260 [2 per cell]

Computed properties:
Polymorph energy (0 for the lowest one) in meV per atom: 18
Formation energy in eV per atom: -2.564
DFT total energy in eV for the cell shown: -98.9
Spin magnetization in μB per atom: 0.1249


[2]
A plane-wave DFT calculation with GGA-PBE was carried out for crystalline Mg6NbCuO8 at its relaxed geometry.

Unit cell a=4.298 b=4.298 c=8.842 alpha=90.00 beta=90.00 gamma=90.00
Space group P4/mmm (No. 123)
Symmetry-distinct sites (fractional):
Mg 0.000 0.000 0.000 [1 per cell]
Mg 0.000 0.500 0.243 [4 per cell]
Mg 0.500 0.500 0.000 [1 per cell]
Nb 0.000 0.000 0.500 [1 per cell]
Cu 0.500 0.500 0.500 [1 per cell]
O 0.000 0.000 0.243 [2 per cell]
O 0.000 0.500 0.000 [2 per cell]
O 0.000 0.500 0.500 [2 per cell]
O 0.500 0.500 0.235 [2 per cell]

Computed properties:
Polymorph energy (0 for the lowest one) in meV per atom: 0
Formation energy in eV per atom: -2.581
DFT total energy in eV for the cell shown: -99.2
Spin magnetization in μB per atom: 0.0000